Entry 1:
# Ga3Ir r2SCAN optimized geometry
data_Ga3Ir
_chemical_formula_sum 'Ga12 Ir4'
_cell_length_a 6.521
_cell_length_b 6.521
_cell_length_c 6.613
_cell_angle_alpha 90.00
_cell_angle_beta 90.00
_cell_angle_gamma 90.00
_space_group_name_H-M_alt 'P 1'
_space_group_IT_number 1
loop_
_space_group_symop_operation_xyz
'x,y,z'
loop_
_atom_site_label
_atom_site_fract_x
_atom_site_fract_y
_atom_site_fract_z
Ir1 0.160 0.840 0.500
Ga1 0.362 0.638 0.742
Ir2 0.660 0.660 0.000
Ga2 0.138 0.138 0.242
Ga3 0.138 0.138 0.758
Ir3 0.840 0.160 0.500
Ga4 0.638 0.362 0.258
Ga5 0.500 0.000 0.000
Ga6 0.000 0.500 0.500
Ga7 0.862 0.862 0.242
Ga8 0.000 0.500 0.000
Ir4 0.340 0.340 0.000
Ga9 0.862 0.862 0.758
Ga10 0.362 0.638 0.258
Ga11 0.500 0.000 0.500
Ga12 0.638 0.362 0.742
# Magnetization, μB per formula unit: 0.000
# Volume, A^3/atom: 17.6
# Formation enthalpy at 0 K, eV/atom: -0.389
# Symmetry: No. 136

---

Entry 2:
# TiAl3 r2SCAN optimized geometry
data_TiAl3
_chemical_formula_sum 'Ti1 Al3'
_cell_length_a 3.956
_cell_length_b 3.956
_cell_length_c 3.956
_cell_angle_alpha 90.00
_cell_angle_beta 90.00
_cell_angle_gamma 90.00
_space_group_name_H-M_alt 'P 1'
_space_group_IT_number 1
loop_
_space_group_symop_operation_xyz
'x,y,z'
loop_
_atom_site_label
_atom_site_fract_x
_atom_site_fract_y
_atom_site_fract_z
Al1 0.500 0.000 0.500
Al2 0.500 0.500 0.000
Ti1 0.000 0.000 0.000
Al3 0.000 0.500 0.500
# Magnetization, μB per formula unit: 0.000
# Volume, A^3/atom: 15.5
# Formation enthalpy at 0 K, eV/atom: -0.411
# Symmetry: No. 221

---

> volume of number 1 (Ga3Ir)?

17.6 A^3/atom